The following is a r²SCAN calculation of an optimized crystal structure of InSbS3, from Materials Project.

The structure in CIF format:
```
data_InSbS3
_cell_length_a 9.407
_cell_length_b 3.840
_cell_length_c 13.582
_cell_angle_alpha 90.00
_cell_angle_beta 90.00
_cell_angle_gamma 90.00
_symmetry_space_group_name_H-M 'P n m a'
_symmetry_Int_Tables_number 62
_symmetry_space_group_name_Hall '-P 2ac 2n'
loop_
_atom_site_label
_atom_site_type_symbol
_atom_site_fract_x
_atom_site_fract_y
_atom_site_fract_z
_atom_site_occupancy
In1 In 0.148 0.250 0.045 1
Sb1 Sb 0.030 0.250 0.645 1
S1 S 0.003 0.250 0.885 1
S2 S 0.160 0.250 0.485 1
S3 S 0.190 0.750 0.703 1
```

Properties
The calculation puts the mass density at 4.505 g/cm³. The value obtained for the formation energy from the elements is -12.04 kcal/mol of atoms. Its volume is 24.530 Å³ per atom.

=====

The following is a r²SCAN calculation of an optimized crystal structure of In4SnS4, from Materials Project.

The structure in CIF format:
```
data_In4SnS4
_cell_length_a 12.532
_cell_length_b 12.532
_cell_length_c 12.532
_cell_angle_alpha 90.00
_cell_angle_beta 90.00
_cell_angle_gamma 90.00
_symmetry_space_group_name_H-M 'P a -3'
_symmetry_Int_Tables_number 205
_symmetry_space_group_name_Hall '-P 2ac 2ab 3'
loop_
_atom_site_label
_atom_site_type_symbol
_atom_site_fract_x
_atom_site_fract_y
_atom_site_fract_z
_atom_site_occupancy
In1 In 0.028 0.067 0.270 1
In2 In 0.229 0.729 0.771 1
Sn1 Sn 0.101 0.601 0.899 1
S1 S 0.075 0.245 0.826 1
S2 S 0.076 0.076 0.076 1
```

Properties
The calculation puts the mass density at 4.767 g/cm³. The value obtained for the formation energy from the elements is -14.82 kcal/mol of atoms. Its volume is 27.334 Å³ per atom.

=====

Per-record raw total energy, eV/atom: -15.00; -17.00